Density functional theory data (PBE) for a relaxed structure of CaP2O8.

Cell: 7.519 12.550 8.942 Å, 90.00 125.63 90.00°
Element x y z (fractional)
Ca 0.148 0.115 0.164
Ca 0.148 0.385 0.664
Ca 0.852 0.615 0.336
Ca 0.852 0.885 0.836
P 0.044 0.103 0.719
P 0.044 0.397 0.219
P 0.311 0.016 0.598
P 0.311 0.484 0.098
P 0.689 0.516 0.902
P 0.689 0.984 0.402
P 0.956 0.603 0.781
P 0.956 0.897 0.281
O 0.027 0.057 0.866
O 0.027 0.443 0.366
O 0.111 0.216 0.732
O 0.111 0.284 0.232
O 0.191 0.591 0.978
O 0.191 0.909 0.478
O 0.206 0.023 0.712
O 0.206 0.477 0.212
O 0.244 0.109 0.471
O 0.244 0.391 0.971
O 0.281 0.655 0.529
O 0.281 0.845 0.029
O 0.441 0.220 0.154
O 0.441 0.280 0.654
O 0.452 0.012 0.267
O 0.452 0.488 0.767
O 0.548 0.512 0.233
O 0.548 0.988 0.733
O 0.559 0.720 0.346
O 0.559 0.780 0.846
O 0.719 0.155 0.971
O 0.719 0.345 0.471
O 0.756 0.609 0.029
O 0.756 0.891 0.529
O 0.794 0.523 0.788
O 0.794 0.977 0.288
O 0.809 0.091 0.522
O 0.809 0.409 0.022
O 0.889 0.716 0.768
O 0.889 0.784 0.268
O 0.973 0.557 0.634
O 0.973 0.943 0.134

Properties
E_tot = -6.32 eV per atom
Crystal system = monoclinic
Spin magnetization = 0.364 μB/atom